[1]
Here is crystalline Li2GeS6O21 at its relaxed geometry from Materials Project. Energies are from PBE-GGA.

a b c (Å): 14.8064 14.8063 15.6402
angles (deg): 61.75 61.75 60.00
Closest atoms and distances in Å follow each position.
Fractional positions:
Li: 0.6454 0.3125 0.0295  5 O 2.10-2.31
Li: 0.0127 0.6454 0.0295  5 O 2.10-2.31
Li: 0.3124 0.0127 0.0295  5 O 2.10-2.31
Li: 0.3546 0.6875 0.9705  5 O 2.10-2.31
Li: 0.9873 0.3546 0.9705  5 O 2.10-2.31
Li: 0.6876 0.9873 0.9705  5 O 2.10-2.31
Li: 0.8483 0.1693 0.5341  3 O 2.07-2.09
Li: 0.4484 0.8483 0.5341  3 O 2.07-2.09
Li: 0.1693 0.4484 0.5341  3 O 2.07-2.09
Li: 0.1517 0.8307 0.4659  3 O 2.07-2.09
Li: 0.5516 0.1517 0.4659  3 O 2.07-2.09
Li: 0.8307 0.5516 0.4659  3 O 2.07-2.09
Ge: 0.9170 0.9170 0.2491  6 O 1.90-1.91
Ge: 0.0830 0.0830 0.7509  6 O 1.90-1.91
Ge: 0.2561 0.2561 0.2317  6 O 1.91-1.93
Ge: 0.7439 0.7439 0.7683  6 O 1.91-1.93
Ge: 0.5788 0.5788 0.2638  6 O 1.93-1.95
Ge: 0.4212 0.4212 0.7362  6 O 1.93-1.95
S: 0.8460 0.8427 0.1347  3 O 1.43-1.52
S: 0.1767 0.8460 0.1347  3 O 1.43-1.52
S: 0.8427 0.1767 0.1347  3 O 1.43-1.52
S: 0.1540 0.1573 0.8653  3 O 1.43-1.52
S: 0.8233 0.1540 0.8653  3 O 1.43-1.52
S: 0.1573 0.8233 0.8653  3 O 1.43-1.52
S: 0.4231 0.1185 0.3594  3 O 1.43-1.53
S: 0.0991 0.4231 0.3594  3 O 1.43-1.53
S: 0.1185 0.0991 0.3594  3 O 1.43-1.53
S: 0.5769 0.8815 0.6406  3 O 1.43-1.53
S: 0.9009 0.5769 0.6406  3 O 1.43-1.53
S: 0.8815 0.9009 0.6407  3 O 1.43-1.53
S: 0.5050 0.1371 0.1465  3 O 1.43-1.53
S: 0.2113 0.5050 0.1465  3 O 1.43-1.53
S: 0.1371 0.2113 0.1465  3 O 1.43-1.53
S: 0.4950 0.8629 0.8535  3 O 1.43-1.53
S: 0.7887 0.4950 0.8535  3 O 1.43-1.53
S: 0.8629 0.7887 0.8535  3 O 1.43-1.53
S: 0.7310 0.8256 0.3473  3 O 1.43-1.53
S: 0.0962 0.7310 0.3473  3 O 1.43-1.53
S: 0.8256 0.0962 0.3473  3 O 1.43-1.53
S: 0.2690 0.1744 0.6527  3 O 1.43-1.53
S: 0.9038 0.2690 0.6527  3 O 1.43-1.53
S: 0.1744 0.9038 0.6527  3 O 1.43-1.53
S: 0.5023 0.5230 0.1413  3 O 1.43-1.53
S: 0.8334 0.5023 0.1413  3 O 1.43-1.53
S: 0.5230 0.8334 0.1413  3 O 1.43-1.53
S: 0.4977 0.4770 0.8587  3 O 1.43-1.53
S: 0.1666 0.4977 0.8587  3 O 1.43-1.53
S: 0.4770 0.1666 0.8587  3 O 1.43-1.53
S: 0.7652 0.4289 0.3608  3 O 1.43-1.54
S: 0.4451 0.7652 0.3608  3 O 1.43-1.54
S: 0.4289 0.4451 0.3608  3 O 1.43-1.54
S: 0.2348 0.5711 0.6392  3 O 1.43-1.54
S: 0.5549 0.2348 0.6392  3 O 1.43-1.54
S: 0.5711 0.5549 0.6392  3 O 1.43-1.54
O: 0.9251 0.8536 0.1625  1 S 1.52
O: 0.0588 0.9251 0.1625  1 S 1.52
O: 0.8536 0.0588 0.1625  1 S 1.52
O: 0.0749 0.1464 0.8375  1 S 1.52
O: 0.9412 0.0749 0.8375  1 S 1.52
O: 0.1464 0.9412 0.8375  1 S 1.52
O: 0.7785 0.9027 0.3364  1 S 1.53
O: 0.9824 0.7785 0.3364  1 S 1.53
O: 0.9027 0.9824 0.3364  1 S 1.53
O: 0.2215 0.0973 0.6636  1 S 1.53
O: 0.0176 0.2215 0.6636  1 S 1.53
O: 0.0973 0.0176 0.6636  1 S 1.53
O: 0.4931 0.0617 0.2666  2 S 1.64-1.66
O: 0.1786 0.4931 0.2666  2 S 1.64-1.66
O: 0.0617 0.1786 0.2666  2 S 1.64-1.66
O: 0.5069 0.9383 0.7334  2 S 1.64-1.66
O: 0.8214 0.5069 0.7334  2 S 1.64-1.66
O: 0.9383 0.8214 0.7334  2 S 1.64-1.66
O: 0.7298 0.8639 0.2303  2 S 1.65-1.66
O: 0.1759 0.7298 0.2303  2 S 1.65-1.66
O: 0.8639 0.1759 0.2303  2 S 1.65-1.66
O: 0.2702 0.1361 0.7697  2 S 1.65-1.66
O: 0.8241 0.2702 0.7697  2 S 1.65-1.66
O: 0.1361 0.8241 0.7697  2 S 1.65-1.66
O: 0.3359 0.2227 0.3170  1 S 1.53
O: 0.1244 0.3359 0.3171  1 S 1.53
O: 0.2227 0.1244 0.3171  1 S 1.53
O: 0.6641 0.7773 0.6830  1 S 1.53
O: 0.8756 0.6641 0.6829  1 S 1.53
O: 0.7773 0.8756 0.6829  1 S 1.53
O: 0.8142 0.9308 0.0488  1 S 1.43
O: 0.2062 0.8143 0.0488  1 S 1.43
O: 0.9308 0.2062 0.0488  1 S 1.43
O: 0.1858 0.0692 0.9512  1 S 1.43
O: 0.7938 0.1857 0.9512  1 S 1.43
O: 0.0692 0.7938 0.9512  1 S 1.43
O: 0.8007 0.7126 0.3721  1 S 1.43
O: 0.1146 0.8007 0.3721  1 S 1.43
O: 0.7126 0.1146 0.3721  1 S 1.43
O: 0.1993 0.2874 0.6279  1 S 1.43
O: 0.8854 0.1993 0.6279  1 S 1.43
O: 0.2874 0.8854 0.6279  1 S 1.43
O: 0.3803 0.0375 0.4435  1 S 1.43
O: 0.1386 0.3803 0.4435  1 S 1.43
O: 0.0375 0.1387 0.4435  1 S 1.43
O: 0.6197 0.9625 0.5565  1 S 1.43
O: 0.8614 0.6197 0.5565  1 S 1.43
O: 0.9625 0.8613 0.5565  1 S 1.43
O: 0.8845 0.7319 0.1365  1 S 1.43
O: 0.2472 0.8845 0.1365  1 S 1.43
O: 0.7319 0.2472 0.1365  1 S 1.43
O: 0.1155 0.2681 0.8635  1 S 1.43
O: 0.7528 0.1155 0.8635  1 S 1.43
O: 0.2681 0.7528 0.8635  1 S 1.43
O: 0.5722 0.0578 0.0932  1 S 1.43
O: 0.2768 0.5722 0.0932  1 S 1.43
O: 0.0578 0.2768 0.0932  1 S 1.43
O: 0.4278 0.9422 0.9068  1 S 1.43
O: 0.7232 0.4278 0.9068  1 S 1.43
O: 0.9422 0.7232 0.9068  1 S 1.43
O: 0.5407 0.2215 0.1252  1 S 1.43
O: 0.1126 0.5407 0.1252  1 S 1.43
O: 0.2215 0.1126 0.1252  1 S 1.43
O: 0.4593 0.7785 0.8748  1 S 1.43
O: 0.8874 0.4593 0.8748  1 S 1.43
O: 0.7785 0.8874 0.8748  1 S 1.43
O: 0.6176 0.8579 0.4056  1 S 1.43
O: 0.1189 0.6176 0.4056  1 S 1.43
O: 0.8579 0.1189 0.4056  1 S 1.43
O: 0.3824 0.1421 0.5944  1 S 1.43
O: 0.8811 0.3824 0.5944  1 S 1.43
O: 0.1421 0.8811 0.5944  1 S 1.43
O: 0.5892 0.5156 0.1736  1 S 1.53
O: 0.7216 0.5892 0.1736  1 S 1.53
O: 0.5156 0.7216 0.1736  1 S 1.53
O: 0.4108 0.4844 0.8264  1 S 1.53
O: 0.2784 0.4108 0.8264  1 S 1.53
O: 0.4844 0.2784 0.8264  1 S 1.53
O: 0.3876 0.1815 0.1444  1 S 1.53
O: 0.2865 0.3876 0.1444  1 S 1.53
O: 0.1815 0.2865 0.1444  1 S 1.53
O: 0.6124 0.8185 0.8556  1 S 1.53
O: 0.7135 0.6124 0.8556  1 S 1.53
O: 0.8185 0.7135 0.8556  1 S 1.53
O: 0.6550 0.4510 0.3545  1 S 1.54
O: 0.5395 0.6550 0.3545  1 S 1.54
O: 0.4509 0.5395 0.3545  1 S 1.54
O: 0.3450 0.5490 0.6455  1 S 1.54
O: 0.4605 0.3450 0.6455  1 S 1.54
O: 0.5491 0.4605 0.6455  1 S 1.54
O: 0.4952 0.1499 0.3675  1 S 1.43
O: 0.9874 0.4952 0.3675  1 S 1.43
O: 0.1499 0.9874 0.3675  1 S 1.43
O: 0.5048 0.8501 0.6325  1 S 1.43
O: 0.0126 0.5048 0.6325  1 S 1.43
O: 0.8501 0.0126 0.6325  1 S 1.43
O: 0.4457 0.6322 0.0874  1 S 1.43
O: 0.8348 0.4457 0.0874  1 S 1.43
O: 0.6322 0.8348 0.0874  1 S 1.43
O: 0.5543 0.3678 0.9126  1 S 1.43
O: 0.1652 0.5543 0.9126  1 S 1.43
O: 0.3678 0.1652 0.9126  1 S 1.43
O: 0.7979 0.3238 0.4334  1 S 1.43
O: 0.4450 0.7979 0.4334  1 S 1.43
O: 0.3238 0.4450 0.4334  1 S 1.43
O: 0.2021 0.6762 0.5666  1 S 1.43
O: 0.5550 0.2021 0.5666  1 S 1.43
O: 0.6762 0.5550 0.5666  1 S 1.43
O: 0.8499 0.4072 0.2513  2 S 1.64-1.66
O: 0.4916 0.8499 0.2513  2 S 1.64-1.66
O: 0.4072 0.4916 0.2513  2 S 1.64-1.66
O: 0.1501 0.5928 0.7487  2 S 1.64-1.66
O: 0.5084 0.1501 0.7487  2 S 1.64-1.66
O: 0.5928 0.5084 0.7487  2 S 1.64-1.66
O: 0.5462 0.4369 0.0991  1 S 1.43
O: 0.9178 0.5462 0.0991  1 S 1.43
O: 0.4369 0.9178 0.0991  1 S 1.43
O: 0.4538 0.5631 0.9009  1 S 1.43
O: 0.0822 0.4538 0.9009  1 S 1.43
O: 0.5631 0.0822 0.9009  1 S 1.43
O: 0.7692 0.5211 0.3655  1 S 1.43
O: 0.3442 0.7692 0.3655  1 S 1.43
O: 0.5211 0.3442 0.3655  1 S 1.43
O: 0.2308 0.4789 0.6345  1 S 1.43
O: 0.6558 0.2308 0.6345  1 S 1.43
O: 0.4789 0.6558 0.6345  1 S 1.43

Output
The calculation puts the energy of formation at -1.853 eV/atom. For the total moment, the calculation gives 0.000 μB per atom.

=====

[2]
Here is crystalline TiIN at its relaxed geometry from Materials Project. Energies are from PBE-GGA.

a b c (Å): 3.5413 3.9766 9.6000
angles (deg): 90.00 90.00 90.00
Closest atoms and distances in Å follow each position.
Fractional positions:
Ti: 0.0000 0.5000 0.9280  4 N 2.02-2.04
Ti: 0.5000 0.0000 0.0720  4 N 2.02-2.04
I: 0.5000 0.5000 0.6977  2 Ti 2.83
I: 0.0000 0.0000 0.3023  2 Ti 2.83
N: 0.0000 0.0000 0.9665  4 Ti 2.02-2.04
N: 0.5000 0.5000 0.0335  4 Ti 2.02-2.04

Output
The calculation puts the energy of formation at -1.271 eV/atom.

=====

[3]
Here is crystalline MgTi4Zn2O10 at its relaxed geometry from Materials Project. Energies are from PBE-GGA.

a b c (Å): 3.9411 5.4516 11.0207
angles (deg): 90.00 90.00 111.19
Closest atoms and distances in Å follow each position.
Fractional positions:
Mg: 0.5815 0.1626 0.7500  7 O 2.19-2.37
Ti: 0.2327 0.4651 0.5919  4 O 1.79-1.98
Ti: 0.7768 0.5536 0.4066  1 O 1.70
Ti: 0.7768 0.5536 0.0934  1 O 1.70
Ti: 0.2327 0.4651 0.9081  4 O 1.79-1.98
Zn: 0.8991 0.7977 0.7500  6 O 2.00-2.20
Zn: 0.0806 0.1617 0.2500  4 O 2.00-2.19
O: 0.6746 0.3493 0.2500  2 Ti 2.01, 2 Zn 2.19
O: 0.3666 0.7327 0.7500  2 Zn 2.00, 1 Mg 2.19, 2 Ti 2.21
O: 0.2348 0.4696 0.0833  3 Ti 1.93-2.02
O: 0.7524 0.5045 0.8968  3 Ti 1.98-2.18, 1 Zn 2.20
O: 0.7524 0.5045 0.6032  3 Ti 1.98-2.18, 1 Zn 2.20
O: 0.2348 0.4696 0.4167  3 Ti 1.93-2.02
O: 0.0640 0.1280 0.6379  1 Ti 1.79
O: 0.9417 0.8835 0.3789  1 Ti 1.70
O: 0.0640 0.1280 0.8621  1 Ti 1.79
O: 0.9417 0.8835 0.1211  1 Ti 1.70

Output
The calculation puts the energy of formation at -2.769 eV/atom. The energy above the most stable polymorph in this dataset comes out at 0.060 eV per atom. For the total moment, the calculation gives 0.000 μB per atom.

=====

[4]
Here is crystalline LiEu2CI3N2 at its relaxed geometry from Materials Project. Energies are from PBE-GGA.

a b c (Å): 10.8005 10.8005 10.8005
angles (deg): 60.00 60.00 60.00
Closest atoms and distances in Å follow each position.
Fractional positions:
Li: 0.6250 0.1250 0.1250  6 I 2.93
Li: 0.1250 0.6250 0.1250  6 I 2.93
Li: 0.1250 0.1250 0.6250  6 I 2.93
Li: 0.1250 0.1250 0.1250  6 I 2.93
Eu: 0.7753 0.4082 0.4082  3 N 2.61
Eu: 0.4082 0.7753 0.4082  3 N 2.61
Eu: 0.4082 0.4082 0.7753  3 N 2.61
Eu: 0.4082 0.4082 0.4082  3 N 2.61
Eu: 0.4747 0.8418 0.8418  3 N 2.61
Eu: 0.8418 0.4747 0.8418  3 N 2.61
Eu: 0.8418 0.8418 0.4747  3 N 2.61
Eu: 0.8418 0.8418 0.8418  3 N 2.61
C: 0.1250 0.6250 0.6250  2 N 1.24
C: 0.6250 0.1250 0.6250  2 N 1.24
C: 0.6250 0.6250 0.1250  2 N 1.24
C: 0.6250 0.6250 0.6250  2 N 1.24
I: 0.8003 0.8003 0.1997  2 Li 2.93
I: 0.1997 0.1997 0.8003  2 Li 2.93
I: 0.8003 0.1997 0.8003  2 Li 2.93
I: 0.1997 0.8003 0.1997  2 Li 2.93
I: 0.1997 0.8003 0.8003  2 Li 2.93
I: 0.8003 0.1997 0.1997  2 Li 2.93
I: 0.4497 0.4497 0.0503  2 Li 2.93
I: 0.0503 0.0503 0.4497  2 Li 2.93
I: 0.4497 0.0503 0.4497  2 Li 2.93
I: 0.0503 0.4497 0.0503  2 Li 2.93
I: 0.0503 0.4497 0.4497  2 Li 2.93
I: 0.4497 0.0503 0.0503  2 Li 2.93
N: 0.2657 0.5781 0.5781  1 C 1.24
N: 0.5781 0.2657 0.5781  1 C 1.24
N: 0.5781 0.5781 0.2657  1 C 1.24
N: 0.5781 0.5781 0.5781  1 C 1.24
N: 0.9843 0.6719 0.6719  1 C 1.24
N: 0.6719 0.9843 0.6719  1 C 1.24
N: 0.6719 0.6719 0.9843  1 C 1.24
N: 0.6719 0.6719 0.6719  1 C 1.24

Output
The calculation puts the energy of formation at -1.275 eV/atom. For the total moment, the calculation gives 1.556 μB per atom.

=====

[5]
Here is crystalline Cs4K2CuSi2O8 at its relaxed geometry from Materials Project. Energies are from PBE-GGA.

a b c (Å): 10.5921 10.5921 6.1788
angles (deg): 90.00 90.00 90.00
Closest atoms and distances in Å follow each position.
Fractional positions:
Cs: 0.3836 0.8630 0.0000  6 O 3.05-3.30
Cs: 0.6164 0.1370 0.0000  6 O 3.05-3.30
Cs: 0.8630 0.3836 0.0000  6 O 3.05-3.30
Cs: 0.8836 0.6370 0.5000  6 O 3.05-3.30
Cs: 0.1370 0.6164 0.0000  6 O 3.05-3.30
Cs: 0.3630 0.1164 0.5000  6 O 3.05-3.30
Cs: 0.1164 0.3630 0.5000  6 O 3.05-3.30
Cs: 0.6370 0.8836 0.5000  6 O 3.05-3.30
K: 0.8971 0.1029 0.5000  6 O 2.73-2.83
K: 0.3971 0.3971 0.0000  6 O 2.73-2.83
K: 0.6029 0.6029 0.0000  6 O 2.73-2.83
K: 0.1029 0.8971 0.5000  6 O 2.73-2.83
Cu: 0.5000 0.5000 0.5000  4 O 2.00
Cu: 0.0000 0.0000 0.0000  4 O 2.00
Si: 0.8239 0.8239 0.0000  4 O 1.65-1.69
Si: 0.3239 0.6761 0.5000  4 O 1.65-1.69
Si: 0.1761 0.1761 0.0000  4 O 1.65-1.69
Si: 0.6761 0.3239 0.5000  4 O 1.65-1.69
O: 0.8976 0.8976 0.2073  1 Si 1.69
O: 0.1024 0.1024 0.7927  1 Si 1.69
O: 0.8520 0.6709 0.0000  1 Si 1.65
O: 0.6024 0.3976 0.2927  1 Si 1.69
O: 0.8291 0.3520 0.5000  1 Si 1.65
O: 0.6024 0.3976 0.7073  1 Si 1.69
O: 0.3976 0.6024 0.2927  1 Si 1.69
O: 0.6480 0.1709 0.5000  1 Si 1.65
O: 0.6709 0.8520 0.0000  1 Si 1.65
O: 0.8976 0.8976 0.7927  1 Si 1.69
O: 0.1480 0.3291 0.0000  1 Si 1.65
O: 0.1024 0.1024 0.2073  1 Si 1.69
O: 0.3520 0.8291 0.5000  1 Si 1.65
O: 0.3976 0.6024 0.7073  1 Si 1.69
O: 0.3291 0.1480 0.0000  1 Si 1.65
O: 0.1709 0.6480 0.5000  1 Si 1.65

Output
The calculation puts the energy of formation at -2.275 eV/atom. For the total moment, the calculation gives 0.056 μB per atom.

=====

[6]
Here is crystalline KGaP2H2 at its relaxed geometry from Materials Project. Energies are from PBE-GGA.

a b c (Å): 5.3249 7.9783 11.9017
angles (deg): 90.00 90.00 90.00
Closest atoms and distances in Å follow each position.
Fractional positions:
K: 0.2500 0.7344 0.1936  3 H 2.74-2.97
K: 0.7500 0.2656 0.8064  3 H 2.74-2.97
K: 0.7500 0.2344 0.3064  3 H 2.74-2.97
K: 0.2500 0.7656 0.6936  3 H 2.74-2.97
Ga: 0.2500 0.1900 0.0067  2 H 1.58-1.60
Ga: 0.7500 0.8099 0.9933  2 H 1.58-1.60
Ga: 0.7500 0.6901 0.4933  2 H 1.58-1.60
Ga: 0.2500 0.3100 0.5067  2 H 1.58-1.60
P: 0.9644 0.4081 0.0681  2 P 2.22-2.28, 1 Ga 2.42
P: 0.0356 0.5919 0.9319  2 P 2.22-2.28, 1 Ga 2.42
P: 0.0356 0.9081 0.4319  2 P 2.22-2.28, 1 Ga 2.42
P: 0.4644 0.5919 0.9319  2 P 2.22-2.28, 1 Ga 2.42
P: 0.9644 0.0919 0.5681  2 P 2.22-2.28, 1 Ga 2.42
P: 0.5356 0.4081 0.0681  2 P 2.22-2.28, 1 Ga 2.42
P: 0.5356 0.0919 0.5681  2 P 2.22-2.28, 1 Ga 2.42
P: 0.4644 0.9081 0.4319  2 P 2.22-2.28, 1 Ga 2.42
H: 0.2500 0.3625 0.3773  1 Ga 1.60
H: 0.7500 0.6375 0.6227  1 Ga 1.60
H: 0.7500 0.8625 0.1227  1 Ga 1.60
H: 0.2500 0.1375 0.8773  1 Ga 1.60
H: 0.2500 0.0477 0.0990  1 Ga 1.58
H: 0.7500 0.9523 0.9010  1 Ga 1.58
H: 0.7500 0.5477 0.4010  1 Ga 1.58
H: 0.2500 0.4523 0.5990  1 Ga 1.58

Output
The calculation puts the energy of formation at -0.202 eV/atom. The energy above the most stable polymorph in this dataset comes out at 0.000 eV per atom. For the total moment, the calculation gives 0.000 μB per atom.